No. 1
Density functional theory data (GGA-PBE) for a relaxed Na2CaSi2Ge3S4O24 crystal.

Lattice parameters (Å, degrees): 8.606 8.634 22.502 88.22 90.40 119.70
Fractional positions:
Na (0.985, 0.986, 0.503)
Na (0.020, 0.019, 0.998)
Na (0.667, 0.326, 0.835)
Na (0.660, 0.315, 0.335)
Na (0.335, 0.662, 0.163)
Na (0.352, 0.675, 0.670)
Ca (0.979, 0.987, 0.647)
Ca (0.014, 0.013, 0.138)
Ca (0.346, 0.682, 0.321)
Si (0.697, 0.992, 0.753)
Si (0.662, 0.604, 0.581)
Si (0.396, 0.355, 0.074)
Si (0.041, 0.382, 0.917)
Si (0.322, 0.949, 0.918)
Si (0.634, 0.979, 0.418)
Ge (0.976, 0.992, 0.353)
Ge (0.005, 0.029, 0.857)
Ge (0.666, 0.335, 0.691)
Ge (0.655, 0.338, 0.179)
Ge (0.651, 0.314, 0.972)
Ge (0.671, 0.334, 0.484)
Ge (0.314, 0.644, 0.013)
Ge (0.368, 0.676, 0.522)
Ge (0.329, 0.685, 0.821)
S (0.303, 0.015, 0.250)
S (0.712, 0.696, 0.248)
S (0.985, 0.293, 0.248)
S (0.299, 0.303, 0.753)
S (0.000, 0.698, 0.753)
S (0.963, 0.351, 0.580)
S (0.387, 0.040, 0.581)
S (0.951, 0.604, 0.079)
S (0.651, 0.047, 0.081)
S (0.622, 0.669, 0.916)
S (0.333, 0.362, 0.421)
S (0.034, 0.667, 0.420)
O (0.223, 0.038, 0.306)
O (0.817, 0.776, 0.306)
O (0.957, 0.181, 0.307)
O (0.218, 0.180, 0.807)
O (0.970, 0.779, 0.805)
O (0.837, 0.035, 0.810)
O (0.748, 0.947, 0.692)
O (0.200, 0.232, 0.699)
O (0.036, 0.799, 0.698)
O (0.798, 0.804, 0.196)
O (0.007, 0.209, 0.197)
O (0.201, 0.002, 0.197)
O (0.879, 0.370, 0.635)
O (0.492, 0.111, 0.636)
O (0.628, 0.478, 0.644)
O (0.877, 0.498, 0.139)
O (0.631, 0.132, 0.137)
O (0.507, 0.388, 0.139)
O (0.505, 0.332, 0.021)
O (0.848, 0.514, 0.028)
O (0.687, 0.160, 0.026)
O (0.477, 0.145, 0.526)
O (0.674, 0.504, 0.523)
O (0.851, 0.319, 0.527)
O (0.543, 0.699, 0.970)
O (0.164, 0.453, 0.976)
O (0.294, 0.824, 0.978)
O (0.544, 0.836, 0.477)
O (0.297, 0.447, 0.472)
O (0.149, 0.694, 0.473)
O (0.097, 0.632, 0.366)
O (0.531, 0.929, 0.358)
O (0.366, 0.463, 0.365)
O (0.137, 0.506, 0.858)
O (0.371, 0.874, 0.861)
O (0.509, 0.636, 0.863)
O (0.019, 0.835, 0.413)
O (0.834, 0.990, 0.411)
O (0.173, 0.180, 0.416)
O (0.018, 0.184, 0.910)
O (0.140, 0.966, 0.905)
O (0.802, 0.829, 0.910)
O (0.993, 0.200, 0.583)
O (0.213, 0.028, 0.583)
O (0.830, 0.797, 0.578)
O (0.963, 0.777, 0.083)
O (0.806, 0.022, 0.084)
O (0.204, 0.184, 0.073)
O (0.680, 0.180, 0.743)
O (0.482, 0.319, 0.750)
O (0.834, 0.515, 0.748)
O (0.708, 0.518, 0.246)
O (0.814, 0.301, 0.243)
O (0.487, 0.185, 0.244)
O (0.645, 0.510, 0.921)
O (0.844, 0.366, 0.925)
O (0.498, 0.148, 0.923)
O (0.668, 0.179, 0.433)
O (0.494, 0.342, 0.430)
O (0.849, 0.512, 0.429)
O (0.386, 0.544, 0.070)
O (0.133, 0.622, 0.078)
O (0.484, 0.877, 0.078)
O (0.369, 0.857, 0.576)
O (0.468, 0.608, 0.578)
O (0.135, 0.524, 0.573)
O (0.329, 0.861, 0.252)
O (0.529, 0.663, 0.254)
O (0.137, 0.471, 0.255)
O (0.321, 0.480, 0.763)
O (0.158, 0.669, 0.760)
O (0.498, 0.818, 0.767)

---

No. 2
Density functional theory data (GGA-PBE) for a relaxed Na10Ca4Si5Ge4S7O48 crystal.

Lattice parameters (Å, degrees): 18.390 9.124 22.773 89.18 92.30 119.56
Fractional positions:
Na (0.326, 0.016, 0.253)
Na (0.682, 0.353, 0.256)
Na (0.999, 0.635, 0.243)
Na (0.497, 0.631, 0.242)
Na (0.323, 0.629, 0.754)
Na (0.823, 0.629, 0.753)
Na (0.996, 0.362, 0.742)
Na (0.496, 0.361, 0.741)
Na (0.181, 0.011, 0.756)
Na (0.682, 0.011, 0.756)
Na (0.336, 0.965, 0.576)
Na (0.836, 0.966, 0.577)
Na (0.336, 0.708, 0.077)
Na (0.835, 0.705, 0.076)
Na (0.483, 0.676, 0.912)
Na (0.983, 0.677, 0.911)
Na (0.487, 0.294, 0.409)
Na (0.166, 0.032, 0.409)
Na (0.989, 0.997, 0.500)
Na (0.496, 0.986, 0.500)
Na (0.996, 0.005, 0.999)
Na (0.495, 0.005, 0.000)
Na (0.325, 0.329, 0.835)
Na (0.825, 0.329, 0.835)
Na (0.324, 0.332, 0.329)
Na (0.824, 0.305, 0.335)
Na (0.152, 0.654, 0.165)
Na (0.657, 0.679, 0.165)
Na (0.152, 0.639, 0.663)
Na (0.653, 0.640, 0.662)
Ca (0.996, 0.003, 0.352)
Ca (0.501, 0.996, 0.354)
Ca (0.999, 0.003, 0.853)
Ca (0.499, 0.003, 0.853)
Ca (0.335, 0.340, 0.682)
Ca (0.835, 0.340, 0.682)
Ca (0.332, 0.328, 0.185)
Ca (0.835, 0.322, 0.185)
Ca (0.165, 0.673, 0.020)
Ca (0.664, 0.671, 0.020)
Ca (0.163, 0.653, 0.519)
Ca (0.665, 0.657, 0.520)
Si (0.149, 0.994, 0.257)
Si (0.649, 0.998, 0.254)
Si (0.510, 0.300, 0.251)
Si (0.148, 0.299, 0.753)
Si (0.648, 0.300, 0.753)
Si (0.008, 0.717, 0.752)
Si (0.508, 0.718, 0.752)
Si (0.485, 0.317, 0.590)
Si (0.984, 0.317, 0.591)
Si (0.483, 0.650, 0.090)
Si (0.982, 0.634, 0.089)
Si (0.309, 0.661, 0.920)
Si (0.808, 0.660, 0.920)
Si (0.316, 0.967, 0.424)
Si (0.809, 0.958, 0.420)
Ge (0.022, 0.028, 0.650)
Ge (0.525, 0.030, 0.650)
Ge (0.012, 0.981, 0.148)
Ge (0.517, 0.009, 0.152)
Ge (0.327, 0.376, 0.990)
Ge (0.827, 0.367, 0.988)
Ge (0.344, 0.315, 0.484)
Ge (0.843, 0.303, 0.481)
Ge (0.170, 0.695, 0.321)
Ge (0.670, 0.687, 0.311)
Ge (0.159, 0.635, 0.815)
Ge (0.659, 0.634, 0.815)
S (0.348, 0.709, 0.248)
S (0.847, 0.706, 0.248)
S (0.008, 0.306, 0.249)
S (0.347, 0.987, 0.748)
S (0.847, 0.987, 0.748)
S (0.180, 0.037, 0.584)
S (0.682, 0.041, 0.584)
S (0.341, 0.638, 0.583)
S (0.841, 0.638, 0.583)
S (0.341, 0.049, 0.083)
S (0.840, 0.046, 0.081)
S (0.181, 0.321, 0.082)
S (0.681, 0.321, 0.084)
S (0.016, 0.378, 0.915)
S (0.516, 0.378, 0.915)
S (0.175, 0.973, 0.915)
S (0.674, 0.972, 0.915)
S (0.174, 0.377, 0.416)
S (0.676, 0.378, 0.416)
S (0.012, 0.652, 0.416)
S (0.515, 0.652, 0.415)
O (0.107, 0.009, 0.315)
O (0.605, 0.028, 0.307)
O (0.401, 0.786, 0.301)
O (0.901, 0.787, 0.300)
O (0.486, 0.191, 0.310)
O (0.999, 0.208, 0.302)
O (0.106, 0.181, 0.807)
O (0.606, 0.181, 0.807)
O (0.486, 0.782, 0.810)
O (0.986, 0.781, 0.810)
O (0.400, 0.018, 0.801)
O (0.900, 0.018, 0.801)
O (0.386, 0.964, 0.695)
O (0.886, 0.965, 0.695)
O (0.085, 0.217, 0.691)
O (0.586, 0.218, 0.691)
O (0.027, 0.859, 0.695)
O (0.527, 0.859, 0.694)
O (0.386, 0.814, 0.195)
O (0.882, 0.801, 0.193)
O (0.016, 0.225, 0.195)
O (0.526, 0.192, 0.194)
O (0.083, 0.947, 0.196)
O (0.584, 0.951, 0.192)
O (0.441, 0.332, 0.646)
O (0.942, 0.332, 0.648)
O (0.229, 0.115, 0.638)
O (0.728, 0.112, 0.640)
O (0.331, 0.548, 0.638)
O (0.831, 0.549, 0.638)
O (0.438, 0.545, 0.147)
O (0.939, 0.542, 0.147)
O (0.331, 0.118, 0.137)
O (0.830, 0.120, 0.134)
O (0.231, 0.341, 0.135)
O (0.731, 0.340, 0.138)
O (0.222, 0.295, 0.028)
O (0.723, 0.296, 0.031)
O (0.413, 0.553, 0.029)
O (0.913, 0.543, 0.028)
O (0.346, 0.155, 0.030)
O (0.846, 0.151, 0.027)
O (0.218, 0.140, 0.530)
O (0.722, 0.149, 0.532)
O (0.346, 0.544, 0.530)
O (0.846, 0.544, 0.531)
O (0.418, 0.276, 0.528)
O (0.913, 0.271, 0.530)
O (0.272, 0.673, 0.981)
O (0.771, 0.672, 0.980)
O (0.068, 0.464, 0.966)
O (0.568, 0.463, 0.966)
O (0.165, 0.866, 0.966)
O (0.665, 0.866, 0.966)
O (0.271, 0.870, 0.481)
O (0.774, 0.871, 0.481)
O (0.164, 0.455, 0.468)
O (0.664, 0.462, 0.465)
O (0.066, 0.674, 0.467)
O (0.566, 0.669, 0.468)
O (0.050, 0.627, 0.360)
O (0.552, 0.626, 0.360)
O (0.251, 0.881, 0.361)
O (0.742, 0.855, 0.360)
O (0.182, 0.480, 0.361)
O (0.683, 0.473, 0.359)
O (0.057, 0.484, 0.858)
O (0.557, 0.484, 0.858)
O (0.182, 0.892, 0.859)
O (0.681, 0.891, 0.859)
O (0.246, 0.634, 0.858)
O (0.746, 0.634, 0.858)
O (0.004, 0.804, 0.411)
O (0.500, 0.794, 0.411)
O (0.410, 0.008, 0.418)
O (0.902, 0.990, 0.413)
O (0.102, 0.204, 0.412)
O (0.600, 0.208, 0.412)
O (0.005, 0.209, 0.911)
O (0.505, 0.209, 0.911)
O (0.099, 0.990, 0.912)
O (0.598, 0.989, 0.912)
O (0.404, 0.807, 0.913)
O (0.904, 0.807, 0.913)
O (0.484, 0.126, 0.594)
O (0.984, 0.127, 0.594)
O (0.094, 0.025, 0.587)
O (0.595, 0.027, 0.586)
O (0.419, 0.807, 0.585)
O (0.919, 0.808, 0.585)
O (0.483, 0.841, 0.094)
O (0.983, 0.826, 0.088)
O (0.419, 0.035, 0.085)
O (0.919, 0.033, 0.083)
O (0.097, 0.164, 0.083)
O (0.597, 0.164, 0.086)
O (0.331, 0.132, 0.743)
O (0.831, 0.132, 0.743)
O (0.242, 0.334, 0.746)
O (0.742, 0.334, 0.746)
O (0.432, 0.529, 0.742)
O (0.932, 0.529, 0.742)
O (0.336, 0.538, 0.244)
O (0.835, 0.532, 0.245)
O (0.433, 0.337, 0.241)
O (0.936, 0.336, 0.246)
O (0.243, 0.140, 0.249)
O (0.738, 0.162, 0.247)
O (0.319, 0.477, 0.924)
O (0.818, 0.477, 0.923)
O (0.435, 0.378, 0.915)
O (0.935, 0.377, 0.914)
O (0.253, 0.142, 0.921)
O (0.753, 0.142, 0.920)
O (0.317, 0.161, 0.424)
O (0.816, 0.156, 0.421)
O (0.253, 0.363, 0.419)
O (0.754, 0.366, 0.421)
O (0.431, 0.485, 0.418)
O (0.927, 0.494, 0.420)
O (0.173, 0.472, 0.076)
O (0.674, 0.472, 0.078)
O (0.073, 0.664, 0.081)
O (0.574, 0.673, 0.081)
O (0.269, 0.874, 0.078)
O (0.769, 0.872, 0.077)
O (0.170, 0.868, 0.579)
O (0.672, 0.872, 0.578)
O (0.268, 0.668, 0.578)
O (0.769, 0.669, 0.578)
O (0.074, 0.474, 0.581)
O (0.575, 0.475, 0.581)
O (0.149, 0.804, 0.259)
O (0.648, 0.811, 0.257)
O (0.264, 0.705, 0.253)
O (0.760, 0.688, 0.253)
O (0.087, 0.479, 0.253)
O (0.600, 0.492, 0.259)
O (0.149, 0.487, 0.757)
O (0.649, 0.487, 0.757)
O (0.099, 0.706, 0.762)
O (0.599, 0.706, 0.762)
O (0.263, 0.827, 0.752)
O (0.763, 0.827, 0.752)

---

No. 3
Density functional theory data (GGA-PBE) for a relaxed Na6CaSi4Ge3S2O24 crystal.

Lattice parameters (Å, degrees): 8.911 8.908 22.179 91.72 89.42 120.30
Fractional positions:
Na (0.990, 0.361, 0.755)
Na (0.395, 0.014, 0.752)
Na (0.316, 0.338, 0.586)
Na (0.026, 0.696, 0.575)
Na (0.659, 0.972, 0.590)
Na (0.316, 0.975, 0.085)
Na (0.656, 0.680, 0.085)
Na (0.025, 0.341, 0.085)
Na (0.338, 0.301, 0.923)
Na (0.964, 0.290, 0.417)
Na (0.321, 0.034, 0.415)
Na (0.715, 0.682, 0.416)
Na (0.001, 0.000, 0.497)
Na (0.992, 0.990, 0.996)
Na (0.666, 0.327, 0.836)
Na (0.667, 0.334, 0.328)
Na (0.334, 0.668, 0.166)
Na (0.365, 0.672, 0.670)
Ca (0.002, 0.000, 0.353)
Ca (0.655, 0.334, 0.687)
Ca (0.663, 0.331, 0.180)
Si (0.283, 0.293, 0.754)
Si (0.715, 0.984, 0.756)
Si (0.368, 0.034, 0.583)
Si (0.662, 0.632, 0.582)
Si (0.957, 0.619, 0.081)
Si (0.657, 0.026, 0.081)
Si (0.376, 0.343, 0.079)
Si (0.038, 0.386, 0.915)
Si (0.332, 0.954, 0.915)
Si (0.613, 0.963, 0.419)
Si (0.342, 0.394, 0.419)
Si (0.041, 0.650, 0.420)
Ge (0.016, 0.028, 0.857)
Ge (0.996, 0.993, 0.651)
Ge (0.004, 0.004, 0.138)
Ge (0.673, 0.308, 0.984)
Ge (0.648, 0.341, 0.476)
Ge (0.317, 0.667, 0.016)
Ge (0.348, 0.684, 0.515)
Ge (0.332, 0.664, 0.322)
Ge (0.344, 0.667, 0.816)
S (0.294, 0.984, 0.250)
S (0.685, 0.705, 0.251)
S (0.017, 0.309, 0.251)
S (0.010, 0.723, 0.752)
S (0.967, 0.332, 0.583)
S (0.628, 0.670, 0.914)
O (0.212, 0.998, 0.305)
O (0.779, 0.792, 0.306)
O (0.007, 0.215, 0.305)
O (0.195, 0.174, 0.813)
O (0.992, 0.812, 0.805)
O (0.842, 0.007, 0.812)
O (0.799, 0.961, 0.690)
O (0.156, 0.197, 0.692)
O (0.027, 0.818, 0.693)
O (0.775, 0.806, 0.195)
O (0.031, 0.217, 0.193)
O (0.189, 0.971, 0.193)
O (0.893, 0.359, 0.639)
O (0.485, 0.086, 0.642)
O (0.605, 0.508, 0.637)
O (0.909, 0.504, 0.138)
O (0.586, 0.078, 0.138)
O (0.494, 0.408, 0.137)
O (0.461, 0.287, 0.021)
O (0.815, 0.527, 0.025)
O (0.723, 0.166, 0.026)
O (0.458, 0.173, 0.526)
O (0.711, 0.545, 0.521)
O (0.857, 0.308, 0.529)
O (0.548, 0.695, 0.969)
O (0.173, 0.474, 0.971)
O (0.305, 0.839, 0.974)
O (0.535, 0.847, 0.478)
O (0.312, 0.482, 0.480)
O (0.161, 0.677, 0.479)
O (0.128, 0.611, 0.359)
O (0.479, 0.871, 0.360)
O (0.384, 0.518, 0.360)
O (0.133, 0.503, 0.854)
O (0.362, 0.863, 0.854)
O (0.512, 0.638, 0.860)
O (0.020, 0.818, 0.419)
O (0.803, 0.990, 0.416)
O (0.179, 0.201, 0.419)
O (0.027, 0.192, 0.912)
O (0.158, 0.982, 0.909)
O (0.803, 0.826, 0.909)
O (0.980, 0.170, 0.584)
O (0.174, 0.020, 0.593)
O (0.846, 0.827, 0.589)
O (0.975, 0.818, 0.091)
O (0.840, 0.014, 0.092)
O (0.178, 0.158, 0.089)
O (0.703, 0.158, 0.755)
O (0.467, 0.306, 0.755)
O (0.863, 0.545, 0.748)
O (0.664, 0.531, 0.249)
O (0.865, 0.330, 0.248)
O (0.469, 0.137, 0.248)
O (0.638, 0.510, 0.916)
O (0.846, 0.362, 0.924)
O (0.506, 0.153, 0.923)
O (0.622, 0.152, 0.426)
O (0.520, 0.380, 0.421)
O (0.849, 0.471, 0.425)
O (0.335, 0.499, 0.065)
O (0.160, 0.666, 0.069)
O (0.502, 0.828, 0.063)
O (0.331, 0.833, 0.572)
O (0.496, 0.665, 0.573)
O (0.145, 0.487, 0.579)
O (0.298, 0.817, 0.250)
O (0.511, 0.698, 0.252)
O (0.186, 0.483, 0.252)
O (0.288, 0.483, 0.758)
O (0.175, 0.716, 0.751)
O (0.515, 0.812, 0.760)

---

| no. | energy with MP2020 corrections (eV per atom) |
| --- | --- |
| 1 | -6.756 |
| 2 | -6.586 |
| 3 | -6.733 |